Arrangement one

The following is a PBE calculation of a relaxed structure of MgGa4Cu2O8, from the Materials Project.

Structure (CIF):
```
data_MgGa4Cu2O8
_chemical_formula_sum 'Mg2 Ga8 Cu4 O16'
_cell_length_a 10.2888
_cell_length_b 6.0199
_cell_length_c 6.0792
_cell_angle_alpha 90.00
_cell_angle_beta 120.13
_cell_angle_gamma 90.00
_symmetry_space_group_name_H-M 'C 1 2/m 1'
_symmetry_Int_Tables_number 12
_symmetry_space_group_name_Hall '-C 2y'
loop_
_atom_site_label
_atom_site_fract_x
_atom_site_fract_y
_atom_site_fract_z
_atom_site_occupancy
Mg1 0.0000 0.0000 0.0000 1
Ga1 0.1295 0.0000 0.4595 1
Ga2 0.2500 0.2500 0.0000 1
Cu1 0.0000 0.5000 0.0000 1
Cu2 0.0000 0.5000 0.5000 1
O1 0.0123 0.2312 0.7505 1
O2 0.2267 0.0000 0.2164 1
O3 0.2286 0.5000 0.1941 1
```



Arrangement two

The following is a PBE calculation of a relaxed structure of MgGa4Cu2O8, from the Materials Project.

Structure (CIF):
```
data_MgGa4Cu2O8
_chemical_formula_sum 'Mg2 Ga8 Cu4 O16'
_cell_length_a 6.4653
_cell_length_b 6.4653
_cell_length_c 9.1939
_cell_angle_alpha 90.00
_cell_angle_beta 90.00
_cell_angle_gamma 90.00
_symmetry_space_group_name_H-M 'I -4 m 2'
_symmetry_Int_Tables_number 119
_symmetry_space_group_name_Hall 'I -4 -2'
loop_
_atom_site_label
_atom_site_fract_x
_atom_site_fract_y
_atom_site_fract_z
_atom_site_occupancy
Mg1 0.0000 0.0000 0.0000 1
Ga1 0.0000 0.2847 0.1432 1
Cu1 0.0000 0.0000 0.5000 1
Cu2 0.0000 0.5000 0.7500 1
O1 0.0000 0.2338 0.8830 1
O2 0.0000 0.2833 0.3578 1
```



In kJ/mol of atoms, relative to the most stable structure: arrangement one 0.0; arrangement two 34.5.



Arrangement one

The following is a PBE calculation of a relaxed structure of Ba6MgIr6O18, from the Materials Project.

Structure (CIF):
```
data_Ba6MgIr6O18
_chemical_formula_sum 'Ba6 Mg1 Ir6 O18'
_cell_length_a 5.7027
_cell_length_b 5.9562
_cell_length_c 15.0467
_cell_angle_alpha 96.36
_cell_angle_beta 90.17
_cell_angle_gamma 118.23
_symmetry_space_group_name_H-M 'P 1'
_symmetry_Int_Tables_number 1
_symmetry_space_group_name_Hall 'P 1'
loop_
_atom_site_label
_atom_site_fract_x
_atom_site_fract_y
_atom_site_fract_z
_atom_site_occupancy
Ba1 0.0000 0.0000 0.0000 1
Ba2 0.0311 0.0699 0.3093 1
Ba3 0.2975 0.6055 0.8420 1
Ba4 0.4106 0.8016 0.4758 1
Ba5 0.6798 0.3753 0.1492 1
Ba6 0.7933 0.5353 0.6203 1
Mg1 0.5541 0.0964 0.7283 1
Ir1 0.0413 0.0718 0.7387 1
Ir2 0.0810 0.1459 0.5504 1
Ir3 0.3445 0.6865 0.0621 1
Ir4 0.3611 0.7229 0.2466 1
Ir5 0.6406 0.2788 0.9068 1
Ir6 0.7182 0.4333 0.3948 1
O1 0.2012 0.4161 0.1474 1
O2 0.2085 0.3947 0.6609 1
O3 0.2193 0.8718 0.1563 1
O4 0.2439 0.9890 0.6355 1
O5 0.2912 0.0417 0.8276 1
O6 0.4394 0.4467 0.9766 1
O7 0.4416 0.2916 0.4913 1
O8 0.4677 0.5133 0.3227 1
O9 0.5247 0.0145 0.0003 1
O10 0.5432 0.0621 0.3338 1
O11 0.6549 0.8398 0.1576 1
O12 0.7357 0.4694 0.7985 1
O13 0.7593 0.9998 0.6344 1
O14 0.7735 0.0521 0.8305 1
O15 0.8911 0.8037 0.4583 1
O16 0.9734 0.3529 0.4702 1
O17 0.9797 0.5401 0.9876 1
O18 0.9894 0.5668 0.3001 1
```



Arrangement two

The following is a PBE calculation of a relaxed structure of Ba6MgIr6O18, from the Materials Project.

Structure (CIF):
```
data_Ba6MgIr6O18
_chemical_formula_sum 'Ba6 Mg1 Ir6 O18'
_cell_length_a 5.6821
_cell_length_b 5.7999
_cell_length_c 15.1452
_cell_angle_alpha 86.17
_cell_angle_beta 89.76
_cell_angle_gamma 60.73
_symmetry_space_group_name_H-M 'P 1'
_symmetry_Int_Tables_number 1
_symmetry_space_group_name_Hall 'P 1'
loop_
_atom_site_label
_atom_site_fract_x
_atom_site_fract_y
_atom_site_fract_z
_atom_site_occupancy
Ba1 0.0000 0.0000 0.0000 1
Ba2 0.0135 0.9569 0.2981 1
Ba3 0.3458 0.3016 0.1370 1
Ba4 0.3764 0.2339 0.6357 1
Ba5 0.6316 0.7435 0.8491 1
Ba6 0.7032 0.5745 0.4649 1
Mg1 0.7326 0.5168 0.6889 1
Ir1 0.0049 0.9858 0.7346 1
Ir2 0.0413 0.8996 0.5435 1
Ir3 0.3157 0.3678 0.8874 1
Ir4 0.3605 0.2597 0.3904 1
Ir5 0.6756 0.6438 0.0524 1
Ir6 0.6805 0.6250 0.2385 1
O1 0.0033 0.4886 0.3252 1
O2 0.0252 0.4573 0.9822 1
O3 0.0947 0.2816 0.7865 1
O4 0.1238 0.7596 0.8478 1
O5 0.2207 0.5252 0.4919 1
O6 0.2288 0.0180 0.4492 1
O7 0.3347 0.7747 0.6504 1
O8 0.3809 0.7783 0.1427 1
O9 0.4857 0.4965 0.3260 1
O10 0.4937 0.0115 0.9798 1
O11 0.4966 0.0010 0.2908 1
O12 0.5238 0.4520 0.9804 1
O13 0.6198 0.2819 0.7856 1
O14 0.7275 0.0248 0.4520 1
O15 0.8267 0.3358 0.1501 1
O16 0.8321 0.7783 0.1432 1
O17 0.8747 0.7777 0.6540 1
O18 0.8813 0.2274 0.6146 1
```



In kJ/mol of atoms, relative to the most stable structure: arrangement one 0.0; arrangement two 1.6.



Arrangement one

The following is a PBE calculation of a relaxed structure of Mg9Si5, from the Materials Project.

Structure (CIF):
```
data_Mg9Si5
_chemical_formula_sum 'Mg54 Si30'
_cell_length_a 7.1895
_cell_length_b 7.1895
_cell_length_c 36.4209
_cell_angle_alpha 90.00
_cell_angle_beta 90.00
_cell_angle_gamma 120.00
_symmetry_space_group_name_H-M 'R -3 c'
_symmetry_Int_Tables_number 167
_symmetry_space_group_name_Hall '-R 3 2"c'
loop_
_atom_site_label
_atom_site_fract_x
_atom_site_fract_y
_atom_site_fract_z
_atom_site_occupancy
Mg1 0.0000 0.2544 0.2500 1
Mg2 0.0377 0.2885 0.1371 1
Si1 0.0000 0.0000 0.0000 1
Si2 0.0000 0.0000 0.0787 1
Si3 0.0000 0.0000 0.1933 1
```



Arrangement two

The following is a PBE calculation of a relaxed structure of Mg9Si5, from the Materials Project.

Structure (CIF):
```
data_Mg9Si5
_chemical_formula_sum 'Mg18 Si10'
_cell_length_a 6.9785
_cell_length_b 7.5236
_cell_length_c 12.6342
_cell_angle_alpha 90.76
_cell_angle_beta 105.19
_cell_angle_gamma 117.62
_symmetry_space_group_name_H-M 'P 1'
_symmetry_Int_Tables_number 1
_symmetry_space_group_name_Hall 'P 1'
loop_
_atom_site_label
_atom_site_fract_x
_atom_site_fract_y
_atom_site_fract_z
_atom_site_occupancy
Mg1 0.0000 0.0000 0.0000 1
Mg2 0.0189 0.3669 0.3745 1
Mg3 0.0307 0.0288 0.7330 1
Mg4 0.0618 0.7406 0.5039 1
Mg5 0.1430 0.4161 0.8977 1
Mg6 0.1666 0.4152 0.6674 1
Mg7 0.2402 0.0897 0.3514 1
Mg8 0.2912 0.4558 0.2013 1
Mg9 0.3577 0.9667 0.9189 1
Mg10 0.4973 0.0700 0.1935 1
Mg11 0.5352 0.7367 0.5854 1
Mg12 0.5605 0.7429 0.0578 1
Mg13 0.6390 0.1527 0.7393 1
Mg14 0.6857 0.1339 0.5029 1
Mg15 0.7273 0.8388 0.3460 1
Mg16 0.8161 0.3101 0.0231 1
Mg17 0.8590 0.6088 0.7917 1
Mg18 0.9163 0.6521 0.1996 1
Si1 0.0868 0.1173 0.5253 1
Si2 0.1376 0.6993 0.0386 1
Si3 0.2664 0.7842 0.7178 1
Si4 0.3247 0.7707 0.3649 1
Si5 0.4645 0.3425 0.0497 1
Si6 0.4695 0.3607 0.8533 1
Si7 0.5067 0.3664 0.5536 1
Si8 0.5673 0.7335 0.8395 1
Si9 0.6465 0.4339 0.3733 1
Si10 0.9020 0.0840 0.1911 1
```



In kJ/mol of atoms, relative to the most stable structure: arrangement one 0.0; arrangement two 11.1.



Arrangement one

The following is a PBE calculation of a relaxed structure of UCdO4, from the Materials Project.

Structure (CIF):
```
data_UCdO4
_chemical_formula_sum 'U2 Cd2 O8'
_cell_length_a 6.9782
_cell_length_b 7.2298
_cell_length_c 3.5268
_cell_angle_alpha 90.00
_cell_angle_beta 90.00
_cell_angle_gamma 90.00
_symmetry_space_group_name_H-M 'C m m m'
_symmetry_Int_Tables_number 65
_symmetry_space_group_name_Hall '-C 2 2'
loop_
_atom_site_label
_atom_site_fract_x
_atom_site_fract_y
_atom_site_fract_z
_atom_site_occupancy
U1 0.0000 0.0000 0.0000 1
Cd1 0.0000 0.5000 0.5000 1
O1 0.0000 0.1759 0.5000 1
O2 0.2171 0.5000 0.0000 1
```



Arrangement two

The following is a PBE calculation of a relaxed structure of UCdO4, from the Materials Project.

Structure (CIF):
```
data_UCdO4
_chemical_formula_sum 'U3 Cd3 O12'
_cell_length_a 3.8602
_cell_length_b 3.8602
_cell_length_c 18.1063
_cell_angle_alpha 90.00
_cell_angle_beta 90.00
_cell_angle_gamma 120.00
_symmetry_space_group_name_H-M 'R -3 m'
_symmetry_Int_Tables_number 166
_symmetry_space_group_name_Hall '-R 3 2"'
loop_
_atom_site_label
_atom_site_fract_x
_atom_site_fract_y
_atom_site_fract_z
_atom_site_occupancy
U1 0.0000 0.0000 0.0000 1
Cd1 0.0000 0.0000 0.5000 1
O1 0.0000 0.0000 0.1117 1
O2 0.0000 0.0000 0.3609 1
```



In kJ/mol of atoms, relative to the most stable structure: arrangement one 0.0; arrangement two 5.0.



Arrangement one

The following is a PBE calculation of a relaxed structure of Hf3N4, from the Materials Project.

Structure (CIF):
```
data_Hf3N4
_chemical_formula_sum 'Hf12 N16'
_cell_length_a 9.8082
_cell_length_b 3.2437
_cell_length_c 10.7252
_cell_angle_alpha 90.00
_cell_angle_beta 90.00
_cell_angle_gamma 90.00
_symmetry_space_group_name_H-M 'P n m a'
_symmetry_Int_Tables_number 62
_symmetry_space_group_name_Hall '-P 2ac 2n'
loop_
_atom_site_label
_atom_site_fract_x
_atom_site_fract_y
_atom_site_fract_z
_atom_site_occupancy
Hf1 0.0701 0.2500 0.1242 1
Hf2 0.1061 0.2500 0.5930 1
Hf3 0.2266 0.2500 0.8529 1
N1 0.0076 0.2500 0.7754 1
N2 0.1033 0.7500 0.4696 1
N3 0.1416 0.7500 0.9817 1
N4 0.2372 0.7500 0.7140 1
```



Arrangement two

The following is a PBE calculation of a relaxed structure of Hf3N4, from the Materials Project.

Structure (CIF):
```
data_Hf3N4
_chemical_formula_sum 'Hf9 N12'
_cell_length_a 3.4092
_cell_length_b 3.4092
_cell_length_c 25.2348
_cell_angle_alpha 90.00
_cell_angle_beta 90.00
_cell_angle_gamma 120.00
_symmetry_space_group_name_H-M 'R -3 m'
_symmetry_Int_Tables_number 166
_symmetry_space_group_name_Hall '-R 3 2"'
loop_
_atom_site_label
_atom_site_fract_x
_atom_site_fract_y
_atom_site_fract_z
_atom_site_occupancy
Hf1 0.0000 0.0000 0.0000 1
Hf2 0.0000 0.0000 0.2220 1
N1 0.0000 0.0000 0.1323 1
N2 0.0000 0.0000 0.3781 1
```



In kJ/mol of atoms, relative to the most stable structure: arrangement one 0.0; arrangement two 7.1.



Arrangement one

# Li3VS4 PBE optimized geometry
# - Maximum piezoelectric response: 0.6 C/m2
data_Li3VS4
_chemical_formula_sum 'Li24 V8 S32'
_cell_length_a 12.6782
_cell_length_b 12.6782
_cell_length_c 7.4149
_cell_angle_alpha 90.00
_cell_angle_beta 90.00
_cell_angle_gamma 90.00
_symmetry_space_group_name_H-M 'P -4 21 c'
_symmetry_Int_Tables_number 114
_symmetry_space_group_name_Hall 'P -4 2n'
loop_
_atom_site_label
_atom_site_fract_x
_atom_site_fract_y
_atom_site_fract_z
_atom_site_occupancy
Li1 0.0000 0.0000 0.2088 1
Li2 0.0000 0.5000 0.0832 1
Li3 0.0480 0.2542 0.3608 1
Li4 0.1999 0.7469 0.0693 1
V1 0.0115 0.7369 0.7824 1
S1 0.9998 0.1831 0.0358 1
S2 0.0820 0.8461 0.5961 1
S3 0.1006 0.6115 0.3228 1
S4 0.1406 0.3097 0.6752 1



Arrangement two

The following is a PBE calculation of a relaxed structure of Li3VS4, from the Materials Project.

Structure (CIF):
```
data_Li3VS4
_chemical_formula_sum 'Li96 V32 S128'
_cell_length_a 24.8538
_cell_length_b 25.9994
_cell_length_c 7.3955
_cell_angle_alpha 90.00
_cell_angle_beta 90.00
_cell_angle_gamma 90.00
_symmetry_space_group_name_H-M 'F d d 2'
_symmetry_Int_Tables_number 43
_symmetry_space_group_name_Hall 'F 2 -2d'
loop_
_atom_site_label
_atom_site_fract_x
_atom_site_fract_y
_atom_site_fract_z
_atom_site_occupancy
Li1 0.0000 0.0000 0.0000 1
Li2 0.0000 0.0000 0.4865 1
Li3 0.0031 0.2458 0.4621 1
Li4 0.0248 0.1232 0.2574 1
Li5 0.0950 0.3600 0.5805 1
Li6 0.1126 0.1570 0.8005 1
Li7 0.1214 0.0280 0.7638 1
V1 0.0091 0.3850 0.1776 1
V2 0.1226 0.4940 0.6804 1
S1 0.0013 0.3438 0.4274 1
S2 0.0489 0.3375 0.9802 1
S3 0.0524 0.4467 0.7252 1
S4 0.0552 0.4537 0.2288 1
S5 0.0687 0.0944 0.5653 1
S6 0.0733 0.2130 0.2300 1
S7 0.0832 0.2497 0.6803 1
S8 0.0958 0.0682 0.0813 1
```



In kJ/mol of atoms, relative to the most stable structure: arrangement one 0.9; arrangement two 0.0.